## Na2ZnSi2Sn3S4O24 (GGA-PBE)

Data for a relaxed Na2ZnSi2Sn3S4O24 crystal.

POSCAR file:
```
Na2ZnSi2Sn3S4O24
1.0
-2.982 -1.239 8.174
-0.917 -6.365 -5.981
20.420 -9.000 6.045
Sn O Na S Si Zn
9 72 6 12 6 3
Cartesian
11.749 -9.125 7.617 Sn
8.948 -9.396 2.010 Sn
3.293 -10.737 4.253 Sn
15.046 -12.063 3.601 Sn
7.574 -7.283 6.391 Sn
-1.233 -4.714 -1.185 Sn
17.405 -7.776 5.093 Sn
1.436 -4.584 4.488 Sn
17.711 -11.646 9.356 Sn
9.962 -9.146 8.876 O
16.447 -12.353 7.798 O
15.983 -11.727 10.328 O
5.562 -8.126 6.552 O
2.984 -7.295 1.804 O
14.302 -11.320 1.741 O
12.762 -13.446 8.117 O
4.352 -5.510 -0.021 O
18.446 -9.379 4.561 O
17.510 -13.861 6.187 O
0.043 -4.481 0.332 O
2.618 -8.260 -3.152 O
5.555 -3.206 3.398 O
15.519 -12.461 5.661 O
3.547 -8.029 -0.974 O
8.278 -7.397 2.589 O
2.449 -6.436 4.032 O
12.242 -11.139 8.180 O
-0.287 -5.600 5.007 O
-1.749 -7.071 3.690 O
11.404 -7.032 7.127 O
0.651 -5.006 -2.263 O
14.033 -8.488 11.409 O
6.814 -6.673 4.431 O
7.972 -7.753 8.379 O
3.484 -3.818 4.386 O
13.392 -11.500 -0.407 O
15.558 -8.683 5.534 O
4.948 -9.518 1.052 O
3.036 -8.703 3.831 O
0.903 -7.957 2.828 O
14.069 -10.169 4.277 O
7.527 -9.017 -2.240 O
2.195 -5.217 6.411 O
-2.377 -4.782 3.927 O
7.271 -10.349 2.275 O
13.013 -8.663 9.036 O
17.160 -9.858 8.735 O
3.145 -5.126 8.586 O
13.531 -9.306 6.488 O
1.072 -2.049 1.045 O
9.836 -9.835 3.711 O
10.848 -8.555 1.551 O
6.563 -5.662 6.899 O
0.824 -2.773 5.334 O
8.523 -8.805 -0.089 O
11.436 -5.745 5.028 O
6.486 -7.483 -0.629 O
5.019 -10.990 3.339 O
5.911 -6.736 2.234 O
13.157 -12.642 3.829 O
3.782 -3.166 0.101 O
1.106 -4.302 2.605 O
-0.575 -1.941 7.162 O
9.336 -6.214 6.031 O
8.124 -8.977 5.647 O
-1.135 -2.802 2.170 O
15.444 -14.430 7.131 O
10.734 -9.699 6.064 O
8.863 -7.721 10.561 O
9.974 -11.093 1.199 O
7.662 -5.115 2.772 O
-1.562 -2.123 5.028 O
17.253 -14.497 0.930 O
18.284 -14.551 3.325 O
19.029 -11.812 4.492 O
13.457 -7.858 4.497 O
8.651 -11.477 5.565 O
10.882 -13.358 4.775 O
15.632 -13.812 2.979 O
-0.680 -6.852 -0.596 O
16.672 -10.984 3.277 O
6.533 -12.050 5.180 Na
12.007 -10.758 2.916 Na
4.566 -5.883 5.530 Na
20.326 -9.165 6.112 Na
14.780 -10.358 8.630 Na
1.766 -6.090 -0.192 Na
14.136 -8.956 5.147 S
16.235 -13.276 6.667 S
7.132 -6.513 2.979 S
8.697 -8.576 9.404 S
-0.294 -1.823 5.738 S
14.645 -11.266 0.284 S
3.322 -8.955 -2.091 S
2.292 -7.607 3.065 S
10.789 -5.954 6.308 S
7.739 -8.036 -1.104 S
4.791 -4.133 -0.283 S
-1.719 -5.923 4.589 S
12.279 -13.953 4.341 Si
0.256 -3.345 1.525 Si
5.714 -10.650 1.854 Si
18.243 -10.691 3.616 Si
16.872 -14.734 2.504 Si
9.329 -10.056 5.290 Si
2.862 -1.406 0.920 Zn
9.481 -13.204 5.985 Zn
4.840 -7.666 0.678 Zn
```

space-group type = No. 1
ρ = 3.3 Mg/m³
energy of formation from the pure elements = -2.12 eV per atom
total DFT energy (no corrections) = -6.17 eV per atom

***

## PrNdO2 (GGA-PBE)

Data for a relaxed PrNdO2 crystal.

POSCAR file:
```
PrNdO2
1.0
-4.695 3.761 -1.727
-5.867 1.888 1.090
-3.763 4.742 1.588
Pr O Nd
1 2 1
Cartesian
-7.162 5.196 0.476 Pr
-3.671 2.663 0.244 O
-10.653 7.728 0.708 O
0.000 0.000 0.000 Nd
```

space-group type = No. 166
ρ = 8.0 Mg/m³
energy of formation from the pure elements = -3.06 eV per atom
total DFT energy (no corrections) = -7.58 eV per atom

***

## CaAcRh2 (GGA-PBE)

Data for a relaxed CaAcRh2 crystal.

POSCAR file:
```
CaAcRh2
1.0
1.274 -4.874 0.518
0.607 -1.981 4.621
-3.374 -3.323 1.794
Rh Ac Ca
2 1 1
Cartesian
-0.373 -2.544 1.733 Rh
-1.120 -7.633 5.199 Rh
-0.746 -5.089 3.466 Ac
0.000 0.000 0.000 Ca
```

space-group type = No. 225
ρ = 8.6 Mg/m³
energy of formation from the pure elements = -0.46 eV per atom
total DFT energy (no corrections) = -5.67 eV per atom

***

## SrTl2Hg2 (GGA-PBE)

Data for a relaxed SrTl2Hg2 crystal.

POSCAR file:
```
SrTl2Hg2
1.0
10.947 0.000 0.000
0.000 10.947 0.000
0.000 0.000 5.031
Sr Tl Hg
4 8 8
Cartesian
1.604 9.343 2.516 Sr
7.077 7.077 0.000 Sr
3.870 3.870 0.000 Sr
9.343 1.604 2.516 Sr
9.378 5.781 2.516 Tl
5.166 1.569 2.516 Tl
5.781 9.378 2.516 Tl
7.042 0.307 0.000 Tl
1.569 5.166 2.516 Tl
10.639 3.905 0.000 Tl
3.905 10.639 0.000 Tl
0.307 7.042 0.000 Tl
4.441 6.506 2.516 Hg
3.405 7.542 0.000 Hg
1.032 1.032 0.000 Hg
2.068 2.068 2.516 Hg
8.878 8.878 2.516 Hg
9.914 9.914 0.000 Hg
7.542 3.405 0.000 Hg
6.506 4.441 2.516 Hg
```

space-group type = No. 136
ρ = 9.9 Mg/m³
energy of formation from the pure elements = -0.27 eV per atom
total DFT energy (no corrections) = -1.67 eV per atom

***

## AgHgSI (GGA-PBE)

Data for a relaxed AgHgSI crystal.

POSCAR file:
```
AgHgSI
1.0
7.266 0.000 0.000
0.000 7.883 0.000
0.000 0.000 8.791
Ag Hg I S
4 4 4 4
Cartesian
2.949 6.526 7.854 Ag
0.684 1.356 3.459 Ag
6.582 5.298 0.937 Ag
4.317 2.585 5.333 Ag
1.815 2.101 8.689 Hg
1.818 5.782 4.293 Hg
5.451 6.043 4.498 Hg
5.448 1.840 0.102 Hg
7.213 2.978 5.620 I
3.580 0.963 3.172 I
0.053 6.920 7.567 I
3.686 4.905 1.224 I
0.013 2.808 1.318 S
3.620 5.075 5.714 S
3.646 1.134 7.473 S
7.253 6.749 3.078 S
```

space-group type = No. 19
ρ = 6.2 Mg/m³
energy of formation from the pure elements = -0.43 eV per atom
total DFT energy (no corrections) = -2.41 eV per atom

***

## BaH2C2O6 (GGA-PBE)

Data for a relaxed BaH2C2O6 crystal.

POSCAR file:
```
BaH2C2O6
1.0
-4.127 -1.353 1.057
-0.853 -0.964 -4.315
3.037 -11.916 1.813
O C H Ba
6 2 2 1
Cartesian
-1.401 -4.910 -1.991 O
-1.117 -9.567 0.721 O
-0.247 -1.932 -1.726 O
1.778 -11.126 -0.399 O
-1.369 -2.030 0.041 O
0.116 -11.880 -1.396 O
-0.701 -5.816 -2.005 C
-1.300 -8.447 0.580 C
-0.649 -2.820 -1.657 H
-0.111 -11.177 -0.755 H
-1.672 -14.066 -1.411 Ba
```

space-group type = No. 1
ρ = 1.7 Mg/m³
energy of formation from the pure elements = -0.85 eV per atom
total DFT energy (no corrections) = -5.64 eV per atom

***

## Eu2SeO2 (GGA-PBE)

Data for a relaxed Eu2SeO2 crystal.

POSCAR file:
```
Eu2SeO2
1.0
-3.928 0.124 -0.356
2.241 -0.834 -3.140
-0.364 -6.956 1.588
Eu Se O
2 1 2
Cartesian
0.077 -2.572 -1.742 Eu
-2.128 -5.094 -0.166 Eu
0.000 0.000 0.000 Se
-2.007 -2.779 -0.695 O
-0.044 -4.887 -1.214 O
```

space-group type = No. 164
ρ = 7.1 Mg/m³
energy of formation from the pure elements = -2.71 eV per atom
total DFT energy (no corrections) = -9.22 eV per atom

***

## La21Mn8Sb7C12 (GGA-PBE)

Data for a relaxed La21Mn8Sb7C12 crystal.

POSCAR file:
```
La21Mn8Sb7C12
1.0
0.000 8.235 8.235
8.235 0.000 8.235
8.235 8.235 0.000
C La Mn Sb
12 21 8 7
Cartesian
4.117 4.117 1.752 C
4.117 4.117 6.483 C
12.352 12.352 9.987 C
9.987 12.352 12.352 C
4.117 1.752 4.117 C
1.752 4.117 4.117 C
12.352 14.718 12.352 C
12.352 9.987 12.352 C
14.718 12.352 12.352 C
4.117 6.483 4.117 C
12.352 12.352 14.718 C
6.483 4.117 4.117 C
2.803 0.000 2.803 La
6.011 10.459 6.011 La
8.235 5.432 2.803 La
5.432 8.235 2.803 La
8.235 2.803 5.432 La
0.000 5.432 5.432 La
6.011 6.011 10.459 La
5.432 5.432 0.000 La
0.000 2.803 2.803 La
10.459 6.011 10.459 La
5.432 0.000 5.432 La
10.459 10.459 10.459 La
10.459 6.011 6.011 La
6.011 10.459 10.459 La
5.432 2.803 8.235 La
10.459 10.459 6.011 La
6.011 6.011 6.011 La
2.803 8.235 5.432 La
2.803 2.803 0.000 La
2.803 5.432 8.235 La
8.235 8.235 8.235 La
13.207 11.498 11.498 Mn
11.498 11.498 13.207 Mn
3.263 4.972 4.972 Mn
11.498 13.207 11.498 Mn
3.263 3.263 3.263 Mn
13.207 13.207 13.207 Mn
4.972 3.263 4.972 Mn
4.972 4.972 3.263 Mn
8.235 8.235 4.793 Sb
11.677 8.235 8.235 Sb
8.235 11.677 8.235 Sb
0.000 0.000 0.000 Sb
8.235 8.235 11.677 Sb
4.793 8.235 8.235 Sb
8.235 4.793 8.235 Sb
```

space-group type = No. 225
ρ = 6.5 Mg/m³
energy of formation from the pure elements = -0.61 eV per atom
total DFT energy (no corrections) = -7.20 eV per atom

***

## KSrBP2O8 (GGA-PBE)

Data for a relaxed KSrBP2O8 crystal.

POSCAR file:
```
KSrBP2O8
1.0
-3.223 -0.772 6.294
4.503 -5.241 1.689
5.183 2.040 6.714
Sr K O P B
2 2 16 4 2
Cartesian
2.220 -0.315 10.930 Sr
4.496 -4.151 4.671 Sr
4.966 -1.501 8.227 K
1.274 -1.885 5.526 K
3.651 -1.954 3.755 O
-1.199 -0.720 5.232 O
3.502 -4.543 9.102 O
-0.376 -3.223 7.645 O
3.234 0.807 8.906 O
4.793 -4.322 11.065 O
4.471 -1.735 10.888 O
7.519 -2.549 8.928 O
0.583 -1.055 8.161 O
5.261 -3.041 12.956 O
6.009 -2.372 5.837 O
1.377 -4.865 8.200 O
3.711 0.334 6.440 O
3.082 -3.451 6.814 O
5.847 -4.304 8.838 O
1.500 -0.906 2.856 O
2.902 -1.404 2.544 P
4.252 -2.980 11.729 P
2.893 1.121 7.451 P
2.863 -4.696 7.655 P
3.265 -3.854 1.336 B
0.297 0.382 8.007 B
```

space-group type = No. 9
ρ = 2.9 Mg/m³
energy of formation from the pure elements = -2.96 eV per atom
total DFT energy (no corrections) = -7.14 eV per atom

***

## Ni3H (GGA-PBE)

Data for a relaxed Ni3H crystal.

POSCAR file:
```
Ni3H
1.0
-3.452 -2.757 -2.259
1.276 -0.979 4.694
-2.534 2.228 1.154
Ni H
6 2
Cartesian
-0.191 -0.735 3.758 Ni
-1.818 -2.035 2.692 Ni
-2.892 0.527 0.896 Ni
-3.918 -1.234 2.044 Ni
-0.792 -0.274 1.544 Ni
-4.520 -0.773 -0.169 Ni
-2.201 0.099 3.242 H
-2.510 -1.607 0.347 H
```

space-group type = No. 194
ρ = 7.7 Mg/m³
energy of formation from the pure elements = 0.45 eV per atom
total DFT energy (no corrections) = -4.69 eV per atom

***

## Pr25Ni49P33 (GGA-PBE)

Data for a relaxed Pr25Ni49P33 crystal.

POSCAR file:
```
Pr25Ni49P33
1.0
-0.949 3.773 -0.766
19.197 2.663 -10.679
-17.952 -6.757 -11.031
P Ni Pr
33 49 25
Cartesian
-2.471 0.590 -4.295 P
1.763 -1.562 -20.145 P
16.512 3.989 -11.083 P
4.995 -0.353 -18.198 P
2.008 -1.298 -8.882 P
4.730 0.365 -14.331 P
-4.575 -2.971 -8.966 P
7.777 -1.267 -15.883 P
4.192 2.287 -4.194 P
1.509 -0.837 -16.259 P
-7.779 -4.177 -10.935 P
-4.114 -4.430 -16.726 P
0.741 1.801 -2.309 P
-0.925 -3.230 -14.767 P
-1.151 -2.497 -10.872 P
2.233 -2.036 -12.799 P
-4.781 -2.234 -5.080 P
-8.001 -3.447 -7.062 P
13.089 3.521 -9.143 P
-13.989 -3.745 -11.372 P
-11.223 -4.659 -9.039 P
10.656 1.134 -7.623 P
-1.372 -1.761 -6.977 P
0.933 1.061 -6.197 P
-1.673 -2.036 -18.223 P
7.193 0.654 -5.697 P
9.915 2.316 -11.145 P
13.315 2.778 -13.085 P
-11.002 -5.386 -12.894 P
11.015 -0.048 -13.893 P
4.371 1.547 -8.061 P
-7.557 -4.907 -14.808 P
-4.353 -3.702 -12.840 P
4.376 -1.529 -12.957 Ni
1.968 1.716 -4.253 Ni
-0.786 -1.402 -16.197 Ni
0.866 -1.173 -6.852 Ni
-2.361 -2.407 -8.931 Ni
-12.873 -3.078 -9.474 Ni
11.048 2.189 -13.178 Ni
6.456 -1.240 -14.114 Ni
-1.481 1.233 -2.355 Ni
2.766 -0.911 -18.181 Ni
7.832 1.788 -11.165 Ni
4.131 -0.723 -8.684 Ni
10.814 2.959 -9.093 Ni
6.076 0.009 -7.489 Ni
7.407 -0.092 -9.634 Ni
5.502 2.222 -6.138 Ni
5.849 0.703 -3.790 Ni
-3.906 -2.576 -18.115 Ni
-2.137 -3.143 -12.834 Ni
-12.324 -5.330 -10.978 Ni
9.969 -0.698 -15.796 Ni
9.393 1.198 -5.741 Ni
2.467 -0.182 -14.221 Ni
9.854 0.533 -9.590 Ni
6.080 0.319 -16.231 Ni
12.921 1.684 -7.723 Ni
2.123 0.951 -8.214 Ni
-1.853 -3.877 -16.803 Ni
-5.783 -2.881 -7.027 Ni
6.653 -1.942 -17.814 Ni
-4.690 0.001 -4.446 Ni
-0.461 -2.121 -20.143 Ni
5.517 1.467 -9.877 Ni
5.667 0.973 -12.495 Ni
-5.337 -4.347 -14.800 Ni
13.267 0.547 -13.750 Ni
-12.656 -3.790 -13.247 Ni
-16.190 -4.303 -11.393 Ni
-8.789 -4.826 -12.881 Ni
1.325 -2.681 -14.849 Ni
14.283 3.424 -11.104 Ni
9.989 0.089 -11.943 Ni
5.495 -0.811 -10.809 Ni
7.539 -0.528 -11.946 Ni
-1.353 0.464 -6.302 Ni
-5.569 -3.617 -10.914 Ni
-2.531 -1.644 -4.960 Ni
-9.010 -4.096 -9.010 Ni
1.078 -1.931 -10.851 Ni
-2.199 -4.567 -19.775 Pr
-10.715 -2.132 -7.484 Pr
8.225 1.278 -14.167 Pr
-6.783 -3.101 -17.135 Pr
-3.217 -1.215 -1.999 Pr
-4.049 -0.434 -7.387 Pr
1.003 -3.362 -17.807 Pr
4.214 -2.165 -15.891 Pr
-7.039 -2.377 -13.247 Pr
7.880 2.411 -8.159 Pr
-7.451 -0.903 -5.479 Pr
-14.715 -5.543 -9.064 Pr
12.594 0.989 -10.741 Pr
3.633 -0.254 -5.756 Pr
-0.408 -0.702 -13.218 Pr
-14.493 -6.273 -12.935 Pr
-7.262 -1.645 -9.367 Pr
-10.481 -2.855 -11.339 Pr
-0.634 0.042 -9.271 Pr
0.206 -0.741 -3.903 Pr
2.912 0.541 -11.212 Pr
-10.273 -3.585 -15.194 Pr
-3.603 -1.901 -15.165 Pr
0.000 0.000 0.000 Pr
-3.831 -1.169 -11.276 Pr
```

space-group type = No. 187
ρ = 7.3 Mg/m³
energy of formation from the pure elements = -0.95 eV per atom
total DFT energy (no corrections) = -6.38 eV per atom